First-principles (PBE-GGA) data for a relaxed structure of Cs5As5Se9, as listed in the Materials Project.

```
data_Cs5As5Se9
_space_group_name_H-M_alt 'P n m a'
_space_group_IT_number 62
_cell_length_a 8.210
_cell_length_b 27.516
_cell_length_c 12.792
_cell_angle_alpha 90.00
_cell_angle_beta 90.00
_cell_angle_gamma 90.00
loop_
_space_group_symop_operation_xyz
'x,y,z'
'-x,-y,-z'
'-x+1/2,-y,z+1/2'
'x+1/2,y,-z+1/2'
'x+1/2,-y+1/2,-z+1/2'
'-x+1/2,y+1/2,z+1/2'
'-x,y+1/2,-z'
'x,-y+1/2,z'
loop_
_atom_site_label
_atom_site_type_symbol
_atom_site_fract_x
_atom_site_fract_y
_atom_site_fract_z
Cs1 Cs 0.022 0.149 0.218
Cs2 Cs 0.033 0.250 0.858
Cs3 Cs 0.054 0.054 0.863
As1 As 0.018 0.119 0.583
As2 As 0.023 0.011 0.405
As3 As 0.095 0.250 0.517
Se1 Se 0.116 0.687 0.512
Se2 Se 0.194 0.082 0.448
Se3 Se 0.222 0.154 0.685
Se4 Se 0.233 0.544 0.638
Se5 Se 0.244 0.750 0.865
```

## Properties
The value obtained for the total DFT energy (no corrections) is -3.7673 eV/atom. As for the total magnetization: 0.0 μB/cell. The energy of formation from the pure elements comes out at -0.87 eV per atom.